Record 1
Crystalline Sr2FeSnO6 at its relaxed geometry, computed with GGA+U.

Results
- offset from the most stable computed form (eV per atom) = 0.000
- MP2020-corrected energy (eV per atom) = -6.939
- E_tot (eV/f.u.) = -63.016

Cell: 4.0333 4.0333 7.9954 Å, 90.00 90.00 90.00°
Closest atoms and distances in Å follow each position.
Space group P4/mmm (No. 123)
Inequivalent atoms, fractional coordinates:
Sr 0.0000 0.0000 0.2346  12 O 2.75-2.93
Fe 0.5000 0.5000 0.0000  6 O 1.92-2.02
Sn 0.5000 0.5000 0.5000  6 O 2.02-2.08
O 0.0000 0.5000 0.0000  2 Fe 2.02
O 0.0000 0.5000 0.5000  2 Sn 2.02
O 0.5000 0.5000 0.2399  1 Fe 1.92, 1 Sn 2.08



Record 2
Crystalline Sr2FeSnO6 at its relaxed geometry, computed with GGA+U.

Results
- offset from the most stable computed form (eV per atom) = 0.000
- MP2020-corrected energy (eV per atom) = -6.939
- E_tot (eV/f.u.) = -63.017

Cell: 8.1020 15.9969 16.1464 Å, 90.00 90.00 90.00°
Closest atoms and distances in Å follow each position.
Space group Fmmm (No. 69)
Inequivalent atoms, fractional coordinates:
Sr 0.2491 0.1175 0.0000  12 O 2.76-2.97
Sr 0.2500 0.1164 0.2500  12 O 2.75-2.94
Fe 0.0000 0.0000 0.1256  6 O 1.92-2.05
Fe 0.0000 0.0000 0.3751  6 O 1.93-2.09
Sn 0.0000 0.2501 0.1249  6 O 2.02-2.08
O 0.0000 0.0000 0.0000  2 Fe 2.03
O 0.0000 0.0000 0.2523  2 Fe 1.98-2.05
O 0.0000 0.0000 0.5000  2 Fe 2.02
O 0.0000 0.1199 0.1256  1 Fe 1.92, 1 Sn 2.08
O 0.0000 0.1206 0.3767  1 Fe 1.93, 1 Sn 2.07
O 0.0000 0.2473 0.0000  2 Sn 2.02
O 0.0000 0.2500 0.2500  2 Sn 2.02
O 0.2424 0.0000 0.1249  2 Fe 1.96-2.09
O 0.2500 0.2500 0.1249  2 Sn 2.03